Record 1
Density functional theory data (PBE-GGA) for a relaxed NiH18I10N6 crystal.

Computed properties:
Crystal system ... monoclinic

Unit cell a=9.3240 b=17.0250 c=10.7381 alpha=90.00 beta=122.75 gamma=90.00
Last column: nearest neighbours and their distance in Å.
Fractional coordinates of all 70 atoms:
Ni  0.0000  0.0000  0.0000  6 N 2.14-2.16
Ni  0.0000  0.5000  0.5000  6 N 2.14-2.16
H  0.0444  0.0563  0.7850  1 N 1.02
H  0.0444  0.4437  0.2850  1 N 1.02
H  0.0464  0.5395  0.2779  1 N 1.02
H  0.0464  0.9605  0.7779  1 N 1.02
H  0.1225  0.1457  0.1041  1 N 1.02
H  0.1225  0.3543  0.6041  1 N 1.02
H  0.1513  0.6408  0.6102  1 N 1.03
H  0.1513  0.8592  0.1102  1 N 1.03
H  0.2163  0.0079  0.9022  1 N 1.02
H  0.2163  0.4921  0.4022  1 N 1.02
H  0.2243  0.0851  0.2422  1 N 1.02
H  0.2243  0.4149  0.7422  1 N 1.02
H  0.2546  0.5761  0.7406  1 N 1.02
H  0.2546  0.9239  0.2406  1 N 1.02
H  0.2800  0.0943  0.1226  1 N 1.02
H  0.2800  0.4057  0.6226  1 N 1.02
H  0.2923  0.5845  0.6091  1 N 1.02
H  0.2923  0.9155  0.1091  1 N 1.02
H  0.7077  0.0845  0.8909  1 N 1.02
H  0.7077  0.4155  0.3909  1 N 1.02
H  0.7200  0.5943  0.3774  1 N 1.02
H  0.7200  0.9057  0.8774  1 N 1.02
H  0.7454  0.0761  0.7594  1 N 1.02
H  0.7454  0.4239  0.2594  1 N 1.02
H  0.7757  0.5851  0.2578  1 N 1.02
H  0.7757  0.9149  0.7578  1 N 1.02
H  0.7837  0.5079  0.5978  1 N 1.02
H  0.7837  0.9921  0.0978  1 N 1.02
H  0.8487  0.1408  0.8898  1 N 1.03
H  0.8487  0.3592  0.3898  1 N 1.03
H  0.8775  0.6457  0.3959  1 N 1.02
H  0.8775  0.8543  0.8959  1 N 1.02
H  0.9536  0.0395  0.2221  1 N 1.02
H  0.9536  0.4605  0.7221  1 N 1.02
H  0.9556  0.5563  0.7150  1 N 1.02
H  0.9556  0.9437  0.2150  1 N 1.02
I  0.0017  0.7068  0.1491  1 I 2.87, 2 H 3.08-3.09
I  0.0017  0.7932  0.6491  1 I 2.87, 2 H 3.08-3.09
I  0.2378  0.1675  0.6563  2 I 2.87-3.07
I  0.2378  0.3325  0.1563  2 I 2.87-3.07
I  0.3095  0.5270  0.0696  1 I 2.82
I  0.3095  0.9730  0.5696  1 I 2.82
I  0.3876  0.6805  0.0251  1 I 2.82, 1 H 3.15
I  0.3876  0.8195  0.5251  1 I 2.82, 1 H 3.15
I  0.4924  0.1424  0.9895  3 H 2.90-3.18, 2 I 3.07-3.25
I  0.4924  0.3576  0.4895  3 H 2.90-3.18, 2 I 3.07-3.25
I  0.5076  0.6424  0.5105  3 H 2.90-3.18, 2 I 3.07-3.25
I  0.5076  0.8576  0.0105  3 H 2.90-3.18, 2 I 3.07-3.25
I  0.6124  0.1805  0.4749  1 I 2.82, 1 H 3.15
I  0.6124  0.3195  0.9749  1 I 2.82, 1 H 3.15
I  0.6905  0.0270  0.4304  1 I 2.82
I  0.6905  0.4730  0.9304  1 I 2.82
I  0.7622  0.6675  0.8437  2 I 2.87-3.07
I  0.7622  0.8325  0.3437  2 I 2.87-3.07
I  0.9983  0.2068  0.3509  1 I 2.87, 2 H 3.08-3.09
I  0.9983  0.2932  0.8509  1 I 2.87, 2 H 3.08-3.09
N  0.0864  0.0070  0.8497  3 H 1.02
N  0.0864  0.4930  0.3497  3 H 1.02
N  0.1765  0.0911  0.1318  3 H 1.02
N  0.1765  0.4089  0.6318  3 H 1.02
N  0.1964  0.5843  0.6289  3 H 1.02-1.03
N  0.1964  0.9157  0.1289  3 H 1.02-1.03
N  0.8036  0.0843  0.8711  3 H 1.02-1.03
N  0.8036  0.4157  0.3711  3 H 1.02-1.03
N  0.8235  0.5911  0.3682  3 H 1.02
N  0.8235  0.9089  0.8682  3 H 1.02
N  0.9136  0.5070  0.6503  3 H 1.02
N  0.9136  0.9930  0.1503  3 H 1.02

=====

Record 2
Density functional theory data (PBE-GGA) for a relaxed H12PdI8N4 crystal.

Computed properties:
Crystal system ... monoclinic

Unit cell a=9.6351 b=8.6969 c=13.2212 alpha=90.00 beta=100.97 gamma=90.00
Last column: nearest neighbours and their distance in Å.
Fractional coordinates of all 50 atoms:
H  0.0297  0.0253  0.3227  1 N 1.03
H  0.0297  0.4747  0.3227  1 N 1.03
H  0.0631  0.0151  0.7928  1 N 1.03
H  0.0631  0.4849  0.7928  1 N 1.03
H  0.0717  0.1054  0.2190  1 N 1.03
H  0.0717  0.3946  0.2190  1 N 1.03
H  0.2621  0.5049  0.6703  1 N 1.02
H  0.2621  0.9951  0.6703  1 N 1.02
H  0.3289  0.5278  0.7953  1 N 1.03
H  0.3289  0.9722  0.7953  1 N 1.03
H  0.3948  0.6247  0.7066  1 N 1.03
H  0.3948  0.8753  0.7066  1 N 1.03
H  0.6052  0.1247  0.2934  1 N 1.03
H  0.6052  0.3753  0.2934  1 N 1.03
H  0.6711  0.0278  0.2047  1 N 1.03
H  0.6711  0.4722  0.2047  1 N 1.03
H  0.7379  0.0049  0.3297  1 N 1.02
H  0.7379  0.4951  0.3297  1 N 1.02
H  0.9283  0.6054  0.7810  1 N 1.03
H  0.9283  0.8946  0.7810  1 N 1.03
H  0.9369  0.5151  0.2072  1 N 1.03
H  0.9369  0.9849  0.2072  1 N 1.03
H  0.9703  0.5253  0.6773  1 N 1.03
H  0.9703  0.9747  0.6773  1 N 1.03
Pd  0.1543  0.7500  0.7361  4 N 2.06-2.09
Pd  0.8457  0.2500  0.2639  4 N 2.06-2.09
I  0.0816  0.2500  0.5446  1 I 2.96, 4 H 3.10-3.27
I  0.1049  0.7500  0.0544  2 I 2.84-3.18
I  0.2077  0.7500  0.4102  2 I 2.96, 2 H 3.04
I  0.2107  0.2500  0.9071  2 H 2.77
I  0.3075  0.2500  0.1626  2 H 2.82, 1 I 2.86
I  0.3889  0.2500  0.3826  2 H 2.80, 1 I 2.86
I  0.3909  0.7500  0.0289  1 I 2.84
I  0.4988  0.7500  0.3687  2 I 2.96-3.26, 2 H 3.31
I  0.5012  0.2500  0.6313  2 I 2.96-3.26, 2 H 3.31
I  0.6091  0.2500  0.9711  1 I 2.84
I  0.6111  0.7500  0.6174  2 H 2.80, 1 I 2.86
I  0.6925  0.7500  0.8374  2 H 2.82, 1 I 2.86
I  0.7893  0.7500  0.0929  2 H 2.77
I  0.7923  0.2500  0.5898  2 I 2.96, 2 H 3.04
I  0.8951  0.2500  0.9456  2 I 2.84-3.18
I  0.9184  0.7500  0.4554  1 I 2.96, 4 H 3.10-3.27
N  0.0124  0.5724  0.7476  3 H 1.03
N  0.0124  0.9276  0.7476  3 H 1.03
N  0.3028  0.5835  0.7256  3 H 1.02-1.03
N  0.3028  0.9165  0.7256  3 H 1.02-1.03
N  0.6972  0.0835  0.2744  3 H 1.02-1.03
N  0.6972  0.4165  0.2744  3 H 1.02-1.03
N  0.9876  0.0724  0.2524  3 H 1.03
N  0.9876  0.4276  0.2524  3 H 1.03

=====

Record 3
Density functional theory data (PBE-GGA) for a relaxed ReH8I6N2 crystal.

Computed properties:
Crystal system ... tetragonal

Unit cell a=7.9087 b=7.9087 c=12.1728 alpha=90.00 beta=90.00 gamma=90.00
Last column: nearest neighbours and their distance in Å.
Fractional coordinates of all 34 atoms:
Re  0.0000  0.0000  0.0000  6 I 2.75-2.76
Re  0.5000  0.5000  0.5000  6 I 2.75-2.76
H  0.0014  0.3933  0.2008  1 N 1.04
H  0.0014  0.3933  0.7992  1 N 1.04
H  0.1067  0.4986  0.2992  1 N 1.04
H  0.1067  0.4986  0.7008  1 N 1.04
H  0.3933  0.9986  0.2008  1 N 1.04
H  0.3933  0.9986  0.7992  1 N 1.04
H  0.4986  0.8933  0.2992  1 N 1.04
H  0.4986  0.8933  0.7008  1 N 1.04
H  0.5014  0.1067  0.2992  1 N 1.04
H  0.5014  0.1067  0.7008  1 N 1.04
H  0.6067  0.0014  0.2008  1 N 1.04
H  0.6067  0.0014  0.7992  1 N 1.04
H  0.8933  0.5014  0.2992  1 N 1.04
H  0.8933  0.5014  0.7008  1 N 1.04
H  0.9986  0.6067  0.2008  1 N 1.04
H  0.9986  0.6067  0.7992  1 N 1.04
I  0.0000  0.0000  0.2270  1 Re 2.76
I  0.0000  0.0000  0.7730  1 Re 2.76
I  0.1964  0.2865  0.0000  1 Re 2.75, 2 H 3.01
I  0.2135  0.3036  0.5000  1 Re 2.75, 2 H 3.01
I  0.2865  0.8036  0.0000  1 Re 2.75, 2 H 3.01
I  0.3036  0.7865  0.5000  1 Re 2.75, 2 H 3.01
I  0.5000  0.5000  0.2730  1 Re 2.76
I  0.5000  0.5000  0.7270  1 Re 2.76
I  0.6964  0.2135  0.5000  1 Re 2.75, 2 H 3.01
I  0.7135  0.1964  0.0000  1 Re 2.75, 2 H 3.01
I  0.7865  0.6964  0.5000  1 Re 2.75, 2 H 3.01
I  0.8036  0.7135  0.0000  1 Re 2.75, 2 H 3.01
N  0.0000  0.5000  0.2500  4 H 1.04
N  0.0000  0.5000  0.7500  4 H 1.04
N  0.5000  0.0000  0.2500  4 H 1.04
N  0.5000  0.0000  0.7500  4 H 1.04

=====

Record 4
Density functional theory data (PBE-GGA) for a relaxed ZnH12I2N4 crystal.

Computed properties:
Crystal system ... orthorhombic

Unit cell a=12.4312 b=7.8032 c=12.2400 alpha=90.00 beta=90.00 gamma=90.00
Last column: nearest neighbours and their distance in Å.
Fractional coordinates of all 76 atoms:
Zn  0.2180  0.2500  0.1005  2 N 2.00-2.08
Zn  0.2820  0.7500  0.6005  2 N 2.00-2.08
Zn  0.7180  0.2500  0.3995  2 N 2.00-2.08
Zn  0.7820  0.7500  0.8995  2 N 2.00-2.08
H  0.0168  0.2500  0.0218  1 N 1.04
H  0.0239  0.1433  0.1408  1 N 1.03
H  0.0239  0.3567  0.1408  1 N 1.03
H  0.1358  0.5388  0.6791  2 H 2.40-2.66, 1 N 2.63, 1 Zn 2.63
H  0.1358  0.9612  0.6791  2 H 2.40-2.66, 1 N 2.63, 1 Zn 2.63
H  0.1886  0.2500  0.9005  1 N 1.05
H  0.1968  0.0049  0.3123  1 H 1.68
H  0.1968  0.4951  0.3123  1 H 1.68
H  0.1983  0.6439  0.4118  1 N 1.04
H  0.1983  0.8561  0.4118  1 N 1.04
H  0.2203  0.2020  0.5929  1 H 0.75
H  0.2203  0.2980  0.5929  1 H 0.75
H  0.2797  0.7020  0.0929  1 H 0.75
H  0.2797  0.7980  0.0929  1 H 0.75
H  0.3017  0.1439  0.9118  1 N 1.04
H  0.3017  0.3561  0.9118  1 N 1.04
H  0.3032  0.5049  0.8123  1 H 1.68
H  0.3032  0.9951  0.8123  1 H 1.68
H  0.3114  0.7500  0.4005  1 N 1.05
H  0.3642  0.0388  0.1791  2 H 2.40-2.66, 1 N 2.63, 1 Zn 2.63
H  0.3642  0.4612  0.1791  2 H 2.40-2.66, 1 N 2.63, 1 Zn 2.63
H  0.4761  0.6433  0.6408  1 N 1.03
H  0.4761  0.8567  0.6408  1 N 1.03
H  0.4832  0.7500  0.5218  1 N 1.04
H  0.5168  0.2500  0.4782  1 N 1.04
H  0.5239  0.1433  0.3592  1 N 1.03
H  0.5239  0.3567  0.3592  1 N 1.03
H  0.6358  0.5388  0.8209  2 H 2.40-2.66, 1 N 2.63, 1 Zn 2.63
H  0.6358  0.9612  0.8209  2 H 2.40-2.66, 1 N 2.63, 1 Zn 2.63
H  0.6886  0.2500  0.5995  1 N 1.05
H  0.6968  0.0049  0.1877  1 H 1.68
H  0.6968  0.4951  0.1877  1 H 1.68
H  0.6983  0.6439  0.0882  1 N 1.04
H  0.6983  0.8561  0.0882  1 N 1.04
H  0.7203  0.2020  0.9071  1 H 0.75
H  0.7203  0.2980  0.9071  1 H 0.75
H  0.7797  0.7020  0.4071  1 H 0.75
H  0.7797  0.7980  0.4071  1 H 0.75
H  0.8017  0.1439  0.5882  1 N 1.04
H  0.8017  0.3561  0.5882  1 N 1.04
H  0.8032  0.5049  0.6877  1 H 1.68
H  0.8032  0.9951  0.6877  1 H 1.68
H  0.8114  0.7500  0.0995  1 N 1.05
H  0.8642  0.0388  0.3209  2 H 2.40-2.66, 1 N 2.63, 1 Zn 2.63
H  0.8642  0.4612  0.3209  2 H 2.40-2.66, 1 N 2.63, 1 Zn 2.63
H  0.9761  0.6433  0.8592  1 N 1.03
H  0.9761  0.8567  0.8592  1 N 1.03
H  0.9832  0.7500  0.9782  1 N 1.04
I  0.0035  0.2500  0.8111  2 H 2.55-2.58
I  0.2111  0.2500  0.3162  2 H 1.92
I  0.2889  0.7500  0.8162  2 H 1.92
I  0.4965  0.7500  0.3111  2 H 2.55-2.58
I  0.5035  0.2500  0.6889  2 H 2.55-2.58
I  0.7111  0.2500  0.1838  2 H 1.92
I  0.7889  0.7500  0.6838  2 H 1.92
I  0.9965  0.7500  0.1889  2 H 2.55-2.58
N  0.0115  0.6788  0.5299  1 N 1.11
N  0.0115  0.8212  0.5299  1 N 1.11
N  0.0506  0.2500  0.0995  3 H 1.03-1.04
N  0.2387  0.7500  0.4433  3 H 1.04-1.05
N  0.2613  0.2500  0.9433  3 H 1.04-1.05
N  0.4494  0.7500  0.5995  3 H 1.03-1.04
N  0.4885  0.1788  0.0299  1 N 1.11
N  0.4885  0.3212  0.0299  1 N 1.11
N  0.5115  0.6788  0.9701  1 N 1.11
N  0.5115  0.8212  0.9701  1 N 1.11
N  0.5506  0.2500  0.4005  3 H 1.03-1.04
N  0.7387  0.7500  0.0567  3 H 1.04-1.05
N  0.7613  0.2500  0.5567  3 H 1.04-1.05
N  0.9494  0.7500  0.9005  3 H 1.03-1.04
N  0.9885  0.1788  0.4701  1 N 1.11
N  0.9885  0.3212  0.4701  1 N 1.11

=====

no.,magnetic moment (μB per formula unit),calculated volume (Å³/cell),VASP energy (eV per cell)
1,2.000,1433.6,-286.00
2,0.001,1087.6,-198.32
3,2.997,761.4,-140.97
4,2.000,1187.3,-299.47